! Na6ZrZn3Si2S4O24 | Materials Project | PBE | relaxed; values from VASP
! E_tot in eV/atom: -6.0352
! Space group: P1 (1)
&SYSTEM
  ibrav = 0, nat = 120, ntyp = 6
/
ATOMIC_SPECIES
Na 22.99 Na.upf
Zr 91.22 Zr.upf
Zn 65.41 Zn.upf
Si 28.09 Si.upf
S 32.06 S.upf
O 16.00 O.upf
ATOMIC_POSITIONS angstrom
Na 0.0000 0.0000 0.0000
Na 3.0115 5.0824 5.4572
Na 3.1984 4.9135 16.7817
Na 4.7731 7.2875 14.7191
Na 4.3185 2.5593 14.9632
Na 7.4098 7.5900 12.8610
Na 7.3572 7.5498 1.7274
Na 6.0326 4.6059 18.6178
Na 4.7223 2.5365 7.5145
Na 4.8943 2.0935 22.3873
Na 10.5509 7.8216 10.9922
Na 7.6647 2.3551 20.5264
Na 7.5914 2.2576 9.2964
Na 9.3333 5.1213 14.8964
Na 10.5322 7.3547 3.6860
Na 9.2777 4.7872 7.4281
Na 13.1618 7.6067 7.4575
Na 10.6601 2.6624 18.6228
Zr 7.6545 7.7227 16.4349
Zr 7.4798 7.6015 5.0671
Zr 7.7807 2.3916 12.6329
Zn 3.0229 5.0634 2.1715
Zn 3.2165 4.9125 20.2295
Zn 3.3164 4.9628 13.4016
Zn 7.5383 7.6522 9.7345
Zn 7.9122 7.6528 20.8648
Zn 7.6032 2.4490 17.1351
Zn 7.4704 2.1182 5.8084
Zn 7.6236 2.3452 1.5637
Zn 12.0630 5.2146 9.0436
Si 4.4782 7.2980 11.1702
Si 4.6050 2.1094 18.8150
Si 6.3175 4.6942 15.0016
Si 10.2110 7.6154 7.4646
Si 10.3368 2.4283 15.0439
Si 13.3726 7.8784 3.5781
S 1.8939 2.7238 22.5135
S 5.0291 7.6307 18.8079
S 1.6850 2.0593 7.4371
S 4.4002 2.6629 11.1630
S 5.9420 5.0099 22.4789
S 6.2442 5.2633 7.4217
S 4.8268 2.3923 3.6155
S 9.0881 5.3347 18.7734
S 6.3534 0.0540 14.9771
S 8.8340 4.6305 3.6517
S 9.5122 5.0034 11.1787
S 10.9825 7.2935 22.4880
O 4.1474 6.5013 12.5524
O 2.1975 3.3472 1.0395
O 4.2197 6.3970 18.8835
O 2.3788 3.3726 7.5210
O 1.8851 1.1942 8.5946
O 5.9115 7.8165 19.9863
O 2.2693 1.3816 6.2132
O 2.2134 1.0476 15.0948
O 5.9036 7.3977 17.5694
O 2.5007 1.3340 22.4323
O 5.9425 7.7313 3.7767
O 3.8203 3.5866 18.8332
O 6.0844 7.4904 11.0238
O 4.7065 4.9136 14.8937
O 4.7363 5.2083 1.0351
O 4.7701 5.0857 7.4945
O 3.8463 3.2701 12.3905
O 3.9059 3.5231 3.4739
O 4.1321 3.4532 9.9388
O 5.1119 4.7820 21.2516
O 3.8511 1.3585 17.4929
O 6.4488 6.1664 6.2168
O 6.7683 6.2557 22.3351
O 3.8589 1.2825 11.0971
O 4.2916 1.2440 20.1465
O 7.0915 6.1752 15.1213
O 4.0207 1.0956 3.7670
O 6.8577 5.8889 8.5870
O 6.5049 3.8181 16.3395
O 5.6351 2.5897 4.8403
O 6.4241 3.7365 0.0166
O 5.9073 2.5188 11.2838
O 5.6471 2.1330 2.4028
O 6.8992 3.9434 7.2051
O 7.0346 3.9493 13.7191
O 9.2524 7.8621 8.7541
O 6.2166 2.2966 18.6724
O 9.3927 7.8259 15.1154
O 8.4333 5.9697 19.9329
O 8.2481 6.0513 3.7568
O 9.2216 7.4165 6.1154
O 9.4939 7.4688 22.4004
O 8.6864 6.2236 11.0700
O 8.7872 6.1309 17.5271
O 6.5091 0.8978 13.7505
O 8.1858 4.0595 2.4627
O 6.5985 1.0971 7.3546
O 8.4975 3.9759 18.6856
O 8.5632 3.8853 4.8955
O 7.0486 0.7868 22.5592
O 8.6169 3.7900 11.2646
O 6.9814 0.6677 16.1408
O 10.9042 6.4895 1.1014
O 10.3427 5.1526 12.3863
O 10.5600 5.2231 18.8737
O 10.2886 4.7489 9.9375
O 11.4209 6.5850 14.8187
O 11.1284 6.2341 7.4524
O 10.2958 4.8164 3.4984
O 11.6019 6.6370 21.3084
O 8.1928 0.8978 11.3092
O 9.4971 2.5542 22.6114
O 9.4668 2.6034 16.3963
O 8.1895 0.6054 4.9411
O 9.3092 2.2783 7.2714
O 8.7906 0.9609 18.6299
O 9.3552 2.0591 13.7584
O 8.6201 0.8519 2.2162
O 12.7973 6.7608 9.8239
O 12.6170 6.4121 3.5000
O 11.2637 3.7440 14.8006
O 11.2210 3.4830 21.2557
CELL_PARAMETERS angstrom
9.0881 0.0000 0.0000
4.5405 7.8934 0.0000
0.3436 0.0370 22.6293


! Na4ZrZnSi2SO12 | Materials Project | PBE | relaxed; values from VASP
! E_tot in eV/atom: -6.4718
&SYSTEM
  ibrav = 0, nat = 126, ntyp = 6
/
ATOMIC_SPECIES
Na 22.99 Na.upf
Zr 91.22 Zr.upf
O 16.00 O.upf
Si 28.09 Si.upf
S 32.06 S.upf
Zn 65.41 Zn.upf
ATOMIC_POSITIONS angstrom
Na 5.4160 -8.0199 -0.5614
Na 9.6273 -5.9335 -2.3243
Na 2.1921 -0.5083 -2.9578
Na 7.2632 -5.4543 0.7744
Na 8.9198 -7.7440 2.6205
Na 18.4725 -5.4039 1.4010
Na 13.3816 -0.5787 -5.3099
Na 13.2850 -2.6975 -0.9577
Na 20.0925 -5.7332 4.5532
Na 22.9521 -0.5601 -7.6142
Na 13.2605 -5.5728 -4.7557
Na 20.3807 -2.8549 0.2798
Na 11.3523 -8.1217 -3.6345
Na 16.7475 -3.2157 2.7112
Na 20.7202 -8.1227 -0.3243
Na 1.9273 -5.3418 -3.0465
Na 3.9171 -2.6965 -4.2680
Na 9.0475 -2.6240 1.9890
Na 2.2089 -2.5895 -7.2427
Na 5.4405 -5.1447 3.2366
Na 5.5371 -3.0258 -1.1157
Na 16.4827 -8.0492 2.6224
Na 15.1076 -3.0072 -3.4199
Na 16.7643 -5.2969 -1.5738
Zr 10.7557 -5.6037 0.8797
Zr 21.9675 -5.5063 1.4775
Zr 18.6002 -3.1566 -3.3146
Zr 3.3205 -0.1785 0.2463
Zr 7.4121 -2.7989 -4.1914
Zr 14.1230 -7.9534 5.6718
O 15.9315 -6.6789 -4.1102
O 16.7740 -4.0903 0.4524
O 13.1053 -1.7354 1.6270
O 22.3987 -2.8732 -4.9174
O 9.2732 -5.1211 2.3458
O 0.5086 -5.5008 2.0619
O 9.3596 -1.6376 -0.3775
O 11.1003 -4.6388 -4.4922
O 17.3398 -1.6071 -4.4964
O 13.2729 -4.3148 -2.7610
O 17.1177 -2.6740 -1.8484
O 19.5381 -4.4257 -2.1408
O 20.5405 -7.1606 2.2604
O 11.1575 -1.4807 -5.0031
O 9.6538 -6.8081 -4.5832
O 2.1530 -7.8389 -2.6897
O 14.2067 -3.8808 2.1079
O 1.9907 -1.5140 -0.5236
O 1.9920 -2.8827 -2.8338
O 0.6518 -3.7008 -0.5493
O 6.9143 -1.7769 1.2232
O 22.1939 -4.7549 -2.3376
O 4.6872 -6.4461 -3.4031
O 5.9668 -1.6003 -3.1644
O 4.9827 -1.7183 -7.8098
O 21.1174 -1.8677 -6.9553
O 7.0865 -6.5986 -2.9276
O 13.2704 -1.5024 -3.0228
O 18.2204 -1.9210 0.5433
O 3.3130 -3.9278 -0.8088
O 1.6509 -6.5014 3.8922
O 6.7098 -7.7675 3.4711
O 19.6519 -1.2811 -2.5619
O 20.6288 -0.4340 -0.4581
O 16.1975 -0.6065 -6.3267
O 6.1526 -2.7817 -5.7909
O 2.9319 -5.1900 2.2532
O 5.6642 -5.5989 -1.2993
O 8.3531 -3.0536 -2.1324
O 5.4284 -6.7620 1.4332
O 5.4260 -3.9495 1.1715
O 15.5998 -1.6316 0.0423
O 14.3495 -7.2021 1.8566
O 9.4258 -6.9392 0.1098
O 20.7056 -6.9276 -2.3894
O 13.5087 -3.1518 -5.4936
O 3.2558 -7.0859 -0.2979
O 17.2703 -4.4921 -4.0845
O 8.4797 -4.3494 -4.9932
O 18.2116 -8.1681 -1.3076
O 0.6352 -6.7966 -0.7989
O 9.4953 -4.0543 -0.3021
O 13.4020 -7.0256 -2.5309
O 11.8074 -3.7283 1.6324
O 20.5222 -4.3078 2.5046
O 5.9851 -4.4532 -3.4085
O 10.7764 -2.7429 -1.9411
O 9.8365 -0.4356 -7.0281
O 14.5542 -5.3204 -0.7231
O 16.5473 -5.5901 2.8351
O 8.4963 -1.2537 -4.7436
O 11.8989 -5.6988 -0.8146
O 4.4638 -0.2736 -1.4480
O 20.7079 -5.4891 -0.1219
O 19.7434 -3.2517 -5.0089
O 16.7947 -7.0628 0.2559
O 17.8684 -6.6352 4.8601
O 2.2186 -1.3828 -5.2166
O 11.6936 -6.8729 2.0534
O 2.2394 -4.3554 -5.4130
O 22.0512 -1.4337 -2.0864
O 12.8635 -7.9363 4.0723
Si 5.5552 -2.4455 1.7718
Si 5.4573 -8.0108 2.4785
Si 20.8349 -5.4235 -1.7891
Si 12.9904 -7.8707 2.4052
Si 16.5905 -5.7436 4.4518
Si 2.0351 -3.0361 -1.2171
Si 1.9806 -7.7649 -1.0234
Si 21.1462 -3.1166 -5.9101
Si 9.8251 -5.3178 -5.2177
Si 16.9453 -2.6000 -0.1822
Si 13.3017 -5.5637 -1.7158
Si 9.8796 -0.5890 -5.4114
S 17.3535 -0.4090 -5.3953
S 1.6646 -5.3032 2.9932
S 12.9871 -3.0759 2.2849
S 5.8669 -5.7938 -2.7506
S 20.8316 -0.6288 -1.9094
S 9.5091 -2.8561 -1.2010
Zn 18.9966 -0.2288 1.2291
Zn 4.0319 -5.3937 0.3879
Zn 11.8764 -2.9466 -3.8064
Zn 7.7962 -0.1061 0.4964
Zn 15.2314 -5.5313 1.1298
Zn 0.6761 -2.8239 -4.5392
CELL_PARAMETERS angstrom
-0.4093 -7.8723 4.8277
0.7243 -0.2707 -9.2298
22.3998 -0.2603 1.4747


| no. | formation energy (eV/atom) |
| --- | --- |
| 1 | -2.2872 |
| 2 | -2.6044 |